A relaxed structure of Li4FeP2O8, computed with PBE+U.

Values from the calculation:
Final energy = -6.347 eV/atom
V = 10.4 Å³/atom
Distance to the lowest polymorph of the same formula = 0.188 eV per atom
Space group = P-1
M_tot = 0.0 μB per formula unit

Lattice parameters (Å, degrees): 4.7915 5.4343 6.1763 95.68 94.38 101.92
Fractional coordinates of all 15 atoms:
Li1 0.1539 0.2912 0.0705
Li2 0.3043 0.5835 0.6741
Li3 0.6957 0.4165 0.3259
Li4 0.8461 0.7088 0.9295
Fe1 0.0000 0.0000 0.5000
P1 0.3829 0.7874 0.2154
P2 0.6171 0.2126 0.7846
O1 0.2427 0.5838 0.3585
O2 0.2624 0.6971 0.9765
O3 0.2838 0.1919 0.7612
O4 0.3137 0.0506 0.2918
O5 0.6863 0.9494 0.7082
O6 0.7162 0.8081 0.2388
O7 0.7376 0.3029 0.0235
O8 0.7573 0.4162 0.6415

***

A relaxed structure of Li2FeP2O7, computed with PBE+U.

Values from the calculation:
Final energy = -6.709 eV/atom
V = 11.5 Å³/atom
Distance to the lowest polymorph of the same formula = 0.085 eV per atom
Space group = C2/c
M_tot = 4.0 μB per formula unit

Lattice parameters (Å, degrees): 5.4357 5.4357 11.5778 101.49 101.49 55.64
Fractional coordinates of all 24 atoms:
Li1 0.1065 0.6384 0.8598
Li2 0.3616 0.8935 0.6402
Li3 0.6384 0.1065 0.3598
Li4 0.8935 0.3616 0.1402
Fe1 0.0000 0.5000 0.5000
Fe2 0.5000 0.0000 0.0000
P1 0.2669 0.6606 0.1241
P2 0.3394 0.7331 0.3759
P3 0.6606 0.2669 0.6241
P4 0.7331 0.3394 0.8759
O1 0.0056 0.2242 0.9680
O2 0.1336 0.8664 0.2500
O3 0.2242 0.0056 0.4680
O4 0.2779 0.5000 0.3933
O5 0.3317 0.4179 0.6451
O6 0.4179 0.3317 0.1451
O7 0.5000 0.2779 0.8933
O8 0.5000 0.7221 0.1067
O9 0.5821 0.6683 0.8549
O10 0.6683 0.5821 0.3549
O11 0.7221 0.5000 0.6067
O12 0.7758 0.9944 0.5320
O13 0.8664 0.1336 0.7500
O14 0.9944 0.7758 0.0320

***

A relaxed structure of LiFePO4, computed with PBE+U.

Values from the calculation:
Final energy = -6.797 eV/atom
V = 12.7 Å³/atom
Distance to the lowest polymorph of the same formula = 0.051 eV per atom
Space group = Pc
M_tot = 4.0 μB per formula unit

Lattice parameters (Å, degrees): 8.1607 5.3099 8.5130 90.00 104.90 90.00
Fractional coordinates of all 28 atoms:
Li1 0.0000 0.1598 0.0000
Li2 0.0000 0.8402 0.5000
Li3 0.5043 0.3248 0.3286
Li4 0.5043 0.6752 0.8286
Fe1 0.3828 0.1753 0.9507
Fe2 0.3828 0.8247 0.4507
Fe3 0.9041 0.3456 0.6377
Fe4 0.9041 0.6544 0.1377
P1 0.1316 0.3253 0.3790
P2 0.1316 0.6747 0.8790
P3 0.6189 0.1756 0.7045
P4 0.6189 0.8244 0.2045
O1 0.0559 0.2018 0.5108
O2 0.0559 0.7982 0.0108
O3 0.1676 0.3886 0.9180
O4 0.1676 0.6114 0.4180
O5 0.2932 0.1813 0.3706
O6 0.2932 0.8187 0.8706
O7 0.4907 0.3192 0.7783
O8 0.4907 0.6808 0.2783
O9 0.5521 0.0987 0.1643
O10 0.5521 0.9013 0.6643
O11 0.6425 0.3057 0.5474
O12 0.6425 0.6943 0.0474
O13 0.8002 0.1844 0.8204
O14 0.8002 0.8156 0.3204
O15 0.9985 0.3118 0.2106
O16 0.9985 0.6882 0.7106

***

A relaxed structure of LiFeP2O7, computed with PBE+U.

Values from the calculation:
Final energy = -6.800 eV/atom
V = 13.6 Å³/atom
Distance to the lowest polymorph of the same formula = 0.160 eV per atom
Space group = Cc
M_tot = 5.0 μB per formula unit

Lattice parameters (Å, degrees): 8.0560 8.0560 8.3103 117.19 117.19 39.54
Fractional coordinates of all 22 atoms:
Li1 0.1766 0.8234 0.5000
Li2 0.8234 0.1766 0.0000
Fe1 0.7581 0.7801 0.6790
Fe2 0.7801 0.7581 0.1790
P1 0.0201 0.3034 0.8237
P2 0.2362 0.5200 0.0302
P3 0.3034 0.0201 0.3237
P4 0.5200 0.2362 0.5302
O1 0.0247 0.7211 0.8948
O2 0.0403 0.1147 0.2467
O3 0.0994 0.6519 0.1944
O4 0.1147 0.0403 0.7467
O5 0.2606 0.2791 0.4243
O6 0.2791 0.2606 0.9243
O7 0.4163 0.5004 0.5809
O8 0.4711 0.8677 0.1770
O9 0.4726 0.8570 0.4787
O10 0.5004 0.4163 0.0809
O11 0.6519 0.0994 0.6944
O12 0.7211 0.0247 0.3948
O13 0.8570 0.4726 0.9787
O14 0.8677 0.4711 0.6770

***

A relaxed structure of Li3Fe2P3O12, computed with PBE+U.

Values from the calculation:
Final energy = -6.779 eV/atom
V = 11.7 Å³/atom
Distance to the lowest polymorph of the same formula = 0.005 eV per atom
Space group = R-3
M_tot = 10.0 μB per formula unit

Lattice parameters (Å, degrees): 9.0361 9.0361 9.0361 55.57 55.57 55.57
Fractional coordinates of all 40 atoms:
Li1 0.1657 0.7634 0.4242
Li2 0.2366 0.5758 0.8343
Li3 0.4242 0.1657 0.7634
Li4 0.5758 0.8343 0.2366
Li5 0.7634 0.4242 0.1657
Li6 0.8343 0.2366 0.5758
Fe1 0.1516 0.1516 0.1516
Fe2 0.3534 0.3534 0.3534
Fe3 0.6466 0.6466 0.6466
Fe4 0.8484 0.8484 0.8484
P1 0.0396 0.4575 0.7518
P2 0.2482 0.9604 0.5425
P3 0.4575 0.7518 0.0396
P4 0.5425 0.2482 0.9604
P5 0.7518 0.0396 0.4575
P6 0.9604 0.5425 0.2482
O1 0.0075 0.3325 0.9682
O2 0.0318 0.9925 0.6675
O3 0.0366 0.6549 0.7097
O4 0.1151 0.5084 0.2974
O5 0.2455 0.3630 0.6250
O6 0.2903 0.9634 0.3451
O7 0.2974 0.1151 0.5084
O8 0.3325 0.9682 0.0075
O9 0.3451 0.2903 0.9634
O10 0.3630 0.6250 0.2455
O11 0.3750 0.7545 0.6370
O12 0.4916 0.7026 0.8849
O13 0.5084 0.2974 0.1151
O14 0.6250 0.2455 0.3630
O15 0.6370 0.3750 0.7545
O16 0.6549 0.7096 0.0366
O17 0.6675 0.0318 0.9925
O18 0.7026 0.8849 0.4916
O19 0.7097 0.0366 0.6549
O20 0.7545 0.6370 0.3750
O21 0.8849 0.4916 0.7026
O22 0.9634 0.3451 0.2903
O23 0.9682 0.0075 0.3325
O24 0.9925 0.6675 0.0318

***

A relaxed structure of LiFePO4, computed with PBE+U.

Values from the calculation:
Final energy = -6.765 eV/atom
V = 12.6 Å³/atom
Distance to the lowest polymorph of the same formula = 0.084 eV per atom
M_tot = 0.0 μB per formula unit
Piezoelectric modulus e_max = 0.4 C/m2

Lattice parameters (Å, degrees): 4.3695 5.5629 8.3145 104.85 74.77 113.12
Fractional coordinates of all 14 atoms:
Li1 0.5000 0.2500 0.2500
Li2 0.5000 0.7500 0.7500
Fe1 0.7500 0.3750 0.8750
Fe2 0.7500 0.8750 0.3750
P1 0.0000 0.0000 0.0000
P2 0.0000 0.5000 0.5000
O1 0.3218 0.2381 0.0448
O2 0.3218 0.7381 0.5448
O3 0.7172 0.9676 0.1609
O4 0.7172 0.4676 0.6609
O5 0.8716 0.5519 0.3586
O6 0.8716 0.0519 0.8586
O7 0.0895 0.2424 0.4358
O8 0.0895 0.7424 0.9358

***

A relaxed structure of LiFeP2O7, computed with PBE+U.

Values from the calculation:
Final energy = -6.878 eV/atom
V = 11.8 Å³/atom
Distance to the lowest polymorph of the same formula = 0.082 eV per atom
Space group = P1
M_tot = 5.0 μB per formula unit

Lattice parameters (Å, degrees): 9.6723 9.7944 11.1922 90.16 101.43 90.02
Fractional coordinates of all 88 atoms:
Li1 0.0000 0.0000 0.0000
Li2 0.0198 0.6094 0.4231
Li3 0.0684 0.3054 0.5099
Li4 0.4852 0.2919 0.9979
Li5 0.5182 0.6762 0.4255
Li6 0.5589 0.9669 0.4976
Li7 0.7534 0.4926 0.9243
Li8 0.8130 0.7872 0.9415
Fe1 0.1133 0.8200 0.6440
Fe2 0.1617 0.5931 0.1430
Fe3 0.1633 0.1120 0.8006
Fe4 0.1983 0.3023 0.2945
Fe5 0.6111 0.4653 0.6387
Fe6 0.6505 0.6808 0.1461
Fe7 0.6513 0.1797 0.7984
Fe8 0.6982 0.9788 0.2913
P1 0.0230 0.6034 0.8549
P2 0.0267 0.0312 0.3982
P3 0.2807 0.5384 0.5544
P4 0.2941 0.1007 0.0889
P5 0.3371 0.3113 0.7315
P6 0.3833 0.8386 0.2234
P7 0.4305 0.9429 0.7272
P8 0.4741 0.4665 0.2111
P9 0.5116 0.6747 0.8571
P10 0.5277 0.2492 0.3986
P11 0.7821 0.7452 0.5506
P12 0.7908 0.1848 0.0876
P13 0.8454 0.9697 0.7359
P14 0.8834 0.4449 0.2203
P15 0.9284 0.3381 0.7258
P16 0.9672 0.8145 0.2085
O1 0.0071 0.2319 0.8160
O2 0.0137 0.4782 0.7599
O3 0.0375 0.9490 0.2744
O4 0.0379 0.4263 0.1952
O5 0.0592 0.6921 0.2627
O6 0.0801 0.7209 0.7892
O7 0.0833 0.1753 0.3783
O8 0.1119 0.9547 0.5052
O9 0.1222 0.5576 0.9741
O10 0.1835 0.4559 0.4548
O11 0.1899 0.0514 0.9710
O12 0.2157 0.6774 0.5705
O13 0.2205 0.2131 0.1500
O14 0.2312 0.2079 0.6597
O15 0.2754 0.9341 0.7511
O16 0.2865 0.4595 0.6818
O17 0.3008 0.7320 0.1361
O18 0.3017 0.9785 0.1867
O19 0.3187 0.4714 0.2340
O20 0.3266 0.2944 0.8634
O21 0.3705 0.2429 0.4014
O22 0.3712 0.6482 0.8820
O23 0.3890 0.8159 0.3564
O24 0.4339 0.5499 0.5369
O25 0.4360 0.9709 0.5981
O26 0.4374 0.1336 0.0703
O27 0.4912 0.4629 0.0810
O28 0.4930 0.3023 0.7103
O29 0.5097 0.7997 0.7611
O30 0.5129 0.0467 0.8199
O31 0.5372 0.8533 0.1935
O32 0.5417 0.3310 0.2766
O33 0.5616 0.5894 0.2741
O34 0.5847 0.1053 0.3785
O35 0.5868 0.5594 0.7961
O36 0.6126 0.3259 0.5071
O37 0.6264 0.7209 0.9734
O38 0.6840 0.8249 0.4503
O39 0.6873 0.2447 0.9714
O40 0.7154 0.6072 0.5702
O41 0.7190 0.0686 0.1448
O42 0.7413 0.0822 0.6784
O43 0.7753 0.3581 0.7571
O44 0.7844 0.8278 0.6757
O45 0.7995 0.5433 0.1225
O46 0.8032 0.3019 0.1911
O47 0.8137 0.8041 0.2361
O48 0.8418 0.9593 0.8693
O49 0.8689 0.0385 0.3999
O50 0.8766 0.6258 0.8784
O51 0.8812 0.4803 0.3496
O52 0.9255 0.3129 0.5947
O53 0.9319 0.1543 0.0627
O54 0.9349 0.7331 0.5345
O55 0.9674 0.8288 0.0752
O56 0.9970 0.9827 0.7087

***

A relaxed structure of LiFeP2O7, computed with PBE+U.

Values from the calculation:
Final energy = -6.943 eV/atom
V = 11.0 Å³/atom
Distance to the lowest polymorph of the same formula = 0.017 eV per atom
Space group = C2
M_tot = 5.0 μB per formula unit
Piezoelectric modulus e_max = 1.7 C/m2

Lattice parameters (Å, degrees): 5.2741 5.2741 4.5661 98.57 98.57 102.43
Fractional coordinates of all 11 atoms:
Li1 0.0000 0.0000 0.0000
Fe1 0.6244 0.3756 0.0000
P1 0.0830 0.5023 0.5900
P2 0.4977 0.9170 0.4100
O1 0.2249 0.7751 0.5000
O2 0.2880 0.3769 0.7450
O3 0.4021 0.0921 0.1975
O4 0.6231 0.7120 0.2550
O5 0.6780 0.0658 0.7098
O6 0.9079 0.5979 0.8025
O7 0.9342 0.3220 0.2902

***

- Which of these has the highest final energy?
  Li4FeP2O8